[1]
! KBaLaWO6, relaxed, DFT PBE with a Hubbard U; values from VASP
! **ρ**: 6.1 g cm⁻³
! **Symmetry**: Pnnn
! **Energy of formation from the pure elements**: -2.91 eV per atom
! **Total magnetization**: 0.000 μB per cell
! **Relative energy among the computed polymorphs**: 0.000 eV per atom
&SYSTEM
  ibrav = 0, nat = 40, ntyp = 5
/
ATOMIC_SPECIES
K 39.10 K.upf
Ba 137.33 Ba.upf
La 138.91 La.upf
W 183.84 W.upf
O 16.00 O.upf
ATOMIC_POSITIONS angstrom
K 2.1634 2.1637 2.1667
K 2.1634 2.1637 6.5001
K 6.4901 6.4911 2.1667
K 6.4901 6.4911 6.5001
Ba 2.1634 6.4911 2.1667
Ba 2.1634 6.4911 6.5001
Ba 6.4901 2.1637 2.1667
Ba 6.4901 2.1637 6.5001
La 0.0000 0.0000 0.0000
La 0.0000 4.3274 4.3334
La 4.3267 0.0000 4.3334
La 4.3267 4.3274 0.0000
W 0.0000 0.0000 4.3334
W 0.0000 4.3274 0.0000
W 4.3267 0.0000 0.0000
W 4.3267 4.3274 4.3334
O 0.1767 0.1650 2.3869
O 0.1767 4.1624 1.9465
O 0.2297 6.2791 0.1459
O 0.2297 6.7031 4.1875
O 1.9448 0.1127 4.5323
O 1.9448 4.2148 8.4679
O 2.3820 0.1127 8.4679
O 2.3820 4.2148 4.5323
O 4.0971 6.2791 4.1875
O 4.0971 6.7031 0.1459
O 4.1501 0.1650 1.9465
O 4.1501 4.1624 2.3869
O 4.5034 4.4924 6.2799
O 4.5034 8.4898 6.7204
O 4.5564 1.9517 8.5209
O 4.5564 2.3757 4.4793
O 6.2715 4.4401 4.1345
O 6.2715 8.5422 0.1989
O 6.7087 4.4401 0.1989
O 6.7087 8.5422 4.1345
O 8.4238 1.9517 4.4793
O 8.4238 2.3757 8.5209
O 8.4768 4.4924 6.7204
O 8.4768 8.4898 6.2799
CELL_PARAMETERS angstrom
8.6535 0.0000 0.0000
0.0000 8.6548 0.0000
0.0000 0.0000 8.6668

---

[2]
! KBaLaWO6, relaxed, DFT PBE with a Hubbard U; values from VASP
! **ρ**: 6.0 g cm⁻³
! **Symmetry**: F-43m
! **Energy of formation from the pure elements**: -2.91 eV per atom
! **Total magnetization**: 0.000 μB per cell
! **Relative energy among the computed polymorphs**: 0.002 eV per atom
&SYSTEM
  ibrav = 0, nat = 10, ntyp = 5
/
ATOMIC_SPECIES
K 39.10 K.upf
Ba 137.33 Ba.upf
La 138.91 La.upf
W 183.84 W.upf
O 16.00 O.upf
ATOMIC_POSITIONS angstrom
K 0.0000 0.0000 0.0000
Ba 4.3445 4.3445 4.3445
La 6.5168 6.5168 6.5168
W 2.1723 2.1723 2.1723
O 2.1723 2.1723 0.2130
O 2.1723 0.2130 2.1723
O 4.1315 2.1723 2.1723
O 0.2130 2.1723 2.1723
O 2.1723 4.1315 2.1723
O 2.1723 2.1723 4.1315
CELL_PARAMETERS angstrom
0.0000 4.3445 4.3445
4.3445 0.0000 4.3445
4.3445 4.3445 0.0000

---

[3]
! K4Ba2Na4Ti8MnSi16O66, relaxed, DFT PBE with a Hubbard U; values from VASP
! **ρ**: 3.0 g cm⁻³
! **Symmetry**: C2/m
! **Energy of formation from the pure elements**: -2.39 eV per atom
! **Total magnetization**: 15.000 μB per cell
&SYSTEM
  ibrav = 0, nat = 101, ntyp = 7
/
ATOMIC_SPECIES
K 39.10 K.upf
Ba 137.33 Ba.upf
Na 22.99 Na.upf
Ti 47.87 Ti.upf
Mn 54.94 Mn.upf
Si 28.09 Si.upf
O 16.00 O.upf
ATOMIC_POSITIONS angstrom
K 0.3517 0.0000 2.3344
K 4.1496 0.0000 4.1232
K 5.1502 0.0000 8.5298
K 8.9481 0.0000 10.3186
Ba 1.5641 0.0000 10.6482
Ba 7.7357 0.0000 2.0048
Na -1.3782 3.2353 10.3469
Na -1.3782 -3.2353 10.3469
Na 10.6780 3.2353 2.3062
Na 10.6780 -3.2353 2.3062
Ti 4.6499 3.7504 6.3265
Ti 2.9486 3.4344 9.5783
Ti 6.3512 3.4344 3.0747
Ti 7.8383 3.1205 0.0000
Ti 7.8383 -3.1205 0.0000
Ti 2.9486 -3.4344 9.5783
Ti 6.3512 -3.4344 3.0747
Ti 4.6499 -3.7504 6.3265
Mn -3.1884 0.0000 6.3265
Si -4.1412 1.5624 12.0041
Si -0.3926 1.5114 5.5356
Si 5.0267 1.5336 0.6891
Si -4.1412 -1.5624 12.0041
Si -0.3926 -1.5114 5.5356
Si 2.3085 1.5308 6.9849
Si 5.0267 -1.5336 0.6891
Si 2.3085 -1.5308 6.9849
Si 6.9913 1.5308 5.6682
Si 4.2731 1.5336 11.9639
Si 6.9913 -1.5308 5.6682
Si 9.6924 1.5114 7.1175
Si 13.4410 1.5624 0.6489
Si 4.2731 -1.5336 11.9639
Si 9.6924 -1.5114 7.1175
Si 13.4410 -1.5624 0.6489
O 3.3586 5.3796 6.4243
O -3.0927 0.0000 7.9833
O 1.7037 4.3609 8.3275
O 0.0412 4.4063 12.2863
O 6.0151 5.1276 2.1870
O 1.9660 2.0671 3.8034
O -2.5120 1.7723 12.1985
O -4.5117 0.0000 12.4398
O 0.7031 1.7338 6.7279
O -0.1879 0.0000 4.9217
O 3.2847 5.1276 10.4661
O 4.8928 3.7917 4.4154
O -0.9285 0.6177 9.1919
O 4.9017 2.5508 1.9454
O 5.9411 5.3796 6.2287
O 3.2036 2.5277 6.0453
O 1.6468 2.8612 10.7664
O 4.4070 3.7917 8.2376
O -0.9285 -0.6177 9.1919
O 9.2586 4.4063 0.3667
O 0.0833 1.5470 12.5693
O 7.5961 4.3609 4.3255
O 2.6582 1.6700 8.5675
O 7.6530 2.8612 1.8867
O 4.8388 0.0000 1.3411
O -2.5120 -1.7723 12.1985
O 2.7394 0.0000 6.5092
O 0.7031 -1.7338 6.7279
O 1.9660 -2.0671 3.8034
O 6.0962 2.5277 6.6077
O 6.6416 1.6700 4.0855
O 4.3981 2.5508 10.7077
O 9.2165 1.5470 0.0838
O 0.0833 -1.5470 12.5693
O 4.9017 -2.5508 1.9454
O 2.6582 -1.6700 8.5675
O 3.2036 -2.5277 6.0453
O 7.3338 2.0671 8.8497
O 8.5966 1.7338 5.9251
O 6.5603 0.0000 6.1438
O 11.8118 1.7723 0.4545
O 4.4610 0.0000 11.3120
O 1.6468 -2.8612 10.7664
O 6.6416 -1.6700 4.0855
O 1.7037 -4.3609 8.3275
O 9.2165 -1.5470 0.0838
O 0.0412 -4.4063 12.2863
O 10.2283 0.6177 3.4611
O 4.8928 -3.7917 4.4154
O 7.6530 -2.8612 1.8867
O 6.0962 -2.5277 6.6077
O 3.3586 -5.3796 6.4243
O 4.3981 -2.5508 10.7077
O 10.2283 -0.6177 3.4611
O 4.4070 -3.7917 8.2376
O 6.0151 -5.1276 2.1870
O 9.4877 0.0000 7.7313
O 8.5966 -1.7338 5.9251
O 13.8115 0.0000 0.2132
O 11.8118 -1.7723 0.4545
O 7.3338 -2.0671 8.8497
O 3.2847 -5.1276 10.4661
O 9.2586 -4.4063 0.3667
O 7.5961 -4.3609 4.3255
O 12.3925 0.0000 4.6697
O 5.9411 -5.3796 6.2287
CELL_PARAMETERS angstrom
7.8383 -6.9531 0.0000
7.8383 6.9531 0.0000
-6.3768 0.0000 12.6530

---

[4]
! K4Ba2Na4Ti8MnSi16W8O58, relaxed, DFT PBE with a Hubbard U; values from VASP
! **ρ**: 4.3 g cm⁻³
! **Symmetry**: C2/m
! **Energy of formation from the pure elements**: -2.54 eV per atom
! **Total magnetization**: 35.457 μB per cell
&SYSTEM
  ibrav = 0, nat = 101, ntyp = 8
/
ATOMIC_SPECIES
K 39.10 K.upf
Ba 137.33 Ba.upf
Na 22.99 Na.upf
Ti 47.87 Ti.upf
Mn 54.94 Mn.upf
Si 28.09 Si.upf
W 183.84 W.upf
O 16.00 O.upf
ATOMIC_POSITIONS angstrom
K 0.2020 0.0000 2.5471
K 4.4981 0.0000 4.1977
K 5.1028 0.0000 9.0163
K 9.3989 0.0000 10.6669
Ba 1.1785 0.0000 10.9645
Ba 8.4224 0.0000 2.2495
Na -1.0442 3.5216 11.6983
Na 10.6451 3.5216 1.5157
Na -1.0442 -3.5216 11.6983
Na 10.6451 -3.5216 1.5157
Ti 4.8005 3.7913 6.6070
Ti 3.2292 3.3820 10.0054
Ti 6.3717 3.3820 3.2086
Ti 7.8248 3.2456 0.0000
Ti 7.8248 -3.2456 0.0000
Ti 3.2292 -3.3820 10.0054
Ti 6.3717 -3.3820 3.2086
Ti 4.8005 -3.7913 6.6070
Mn -3.0243 0.0000 6.6070
Si -3.7331 1.5783 12.4249
Si -0.2571 1.5699 5.7994
Si -3.7331 -1.5783 12.4249
Si 5.1226 1.5338 0.7988
Si -0.2571 -1.5699 5.7994
Si 2.4205 1.5360 7.4445
Si 5.1226 -1.5338 0.7988
Si 2.4205 -1.5360 7.4445
Si 7.1804 1.5360 5.7695
Si 4.4783 1.5338 12.4153
Si 7.1804 -1.5360 5.7695
Si 9.8580 1.5699 7.4146
Si 4.4783 -1.5338 12.4153
Si 13.3340 1.5783 0.7891
Si 9.8580 -1.5699 7.4146
Si 13.3340 -1.5783 0.7891
W -2.1221 1.5377 9.4476
W 2.2454 3.1766 4.4328
W -2.1221 -1.5377 9.4476
W 2.2454 -3.1766 4.4328
W 7.3556 3.1766 8.7813
W 11.7230 1.5377 3.7664
W 7.3556 -3.1766 8.7813
W 11.7230 -1.5377 3.7664
O 3.4540 5.3550 6.6354
O -3.2539 0.0000 8.6872
O 1.7708 4.5562 8.6831
O 5.5938 5.2064 2.3886
O 0.3838 4.6327 13.0750
O -4.1751 0.0000 12.6565
O -2.1962 1.8128 12.9833
O 0.8738 1.8042 6.9885
O -0.0570 0.0000 5.2878
O 4.6733 3.7725 4.6172
O 4.9794 2.4956 2.0928
O 4.0071 5.2064 10.8254
O 6.1469 5.3550 6.5787
O 3.3482 2.5135 6.5450
O 1.9794 3.1936 11.2797
O 9.2171 4.6327 0.1390
O 0.3931 1.7053 13.0886
O 4.9276 3.7725 8.5968
O 7.8301 4.5562 4.5309
O 2.6727 1.7094 9.0390
O 7.6215 3.1936 1.9343
O 5.0035 0.0000 1.3997
O -2.1962 -1.8128 12.9833
O 0.8738 -1.8042 6.9885
O 2.8597 0.0000 7.0129
O 6.2527 2.5135 6.6690
O 6.9282 1.7094 4.1750
O 4.6215 2.4956 11.1212
O 9.2078 1.7053 0.1254
O 0.3931 -1.7053 13.0886
O 4.9794 -2.4956 2.0928
O 2.6727 -1.7094 9.0390
O 3.3482 -2.5135 6.5450
O 6.7412 0.0000 6.2012
O 8.7271 1.8042 6.2255
O 11.7971 1.8128 0.2307
O 4.5974 0.0000 11.8143
O 1.9794 -3.1936 11.2797
O 6.9282 -1.7094 4.1750
O 1.7708 -4.5562 8.6831
O 4.6733 -3.7725 4.6172
O 9.2078 -1.7053 0.1254
O 0.3838 -4.6327 13.0750
O 7.6215 -3.1936 1.9343
O 6.2527 -2.5135 6.6690
O 3.4540 -5.3550 6.6354
O 5.5938 -5.2064 2.3886
O 4.6215 -2.4956 11.1212
O 4.9276 -3.7725 8.5968
O 9.6579 0.0000 7.9262
O 8.7271 -1.8042 6.2255
O 11.7971 -1.8128 0.2307
O 13.7760 0.0000 0.5575
O 9.2171 -4.6327 0.1390
O 4.0071 -5.2064 10.8254
O 7.8301 -4.5562 4.5309
O 12.8548 0.0000 4.5268
O 6.1469 -5.3550 6.5787
CELL_PARAMETERS angstrom
7.8248 -7.1422 0.0000
7.8248 7.1422 0.0000
-6.0487 0.0000 13.2140

---

[5]
! KBaSmMnO6, relaxed, DFT PBE with a Hubbard U; values from VASP
! **ρ**: 5.2 g cm⁻³
! **Symmetry**: Pnnn
! **Energy of formation from the pure elements**: -2.37 eV per atom
! **Total magnetization**: 4.000 μB per cell
! **Relative energy among the computed polymorphs**: 0.011 eV per atom
&SYSTEM
  ibrav = 0, nat = 40, ntyp = 5
/
ATOMIC_SPECIES
K 39.10 K.upf
Ba 137.33 Ba.upf
Sm 150.36 Sm.upf
Mn 54.94 Mn.upf
O 16.00 O.upf
ATOMIC_POSITIONS angstrom
K 2.1103 2.1161 2.1165
K 2.1103 2.1161 6.3496
K 6.3309 6.3483 2.1165
K 6.3309 6.3483 6.3496
Ba 2.1103 6.3483 2.1165
Ba 2.1103 6.3483 6.3496
Ba 6.3309 2.1161 2.1165
Ba 6.3309 2.1161 6.3496
Sm 0.0000 0.0000 0.0000
Sm 0.0000 4.2322 4.2330
Sm 4.2206 0.0000 4.2330
Sm 4.2206 4.2322 0.0000
Mn 0.0000 0.0000 4.2330
Mn 0.0000 4.2322 0.0000
Mn 4.2206 0.0000 0.0000
Mn 4.2206 4.2322 4.2330
O 0.0057 1.9281 4.1628
O 0.0057 2.3041 0.0702
O 0.0496 0.0665 6.1585
O 0.0496 4.1657 6.5406
O 1.9217 4.3667 0.0476
O 1.9217 8.3299 4.1855
O 2.2989 4.3667 4.1855
O 2.2989 8.3299 0.0476
O 4.1711 0.0665 6.5406
O 4.1711 4.1657 6.1585
O 4.2149 1.9281 0.0702
O 4.2149 2.3041 4.1628
O 4.2263 6.1603 4.3033
O 4.2263 6.5363 8.3959
O 4.2702 4.2987 2.3075
O 4.2702 8.3979 1.9255
O 6.1424 0.1345 8.4185
O 6.1424 4.0977 4.2806
O 6.5195 0.1345 4.2806
O 6.5195 4.0977 8.4185
O 8.3917 4.2987 1.9255
O 8.3917 8.3979 2.3075
O 8.4356 6.1603 8.3959
O 8.4356 6.5363 4.3033
CELL_PARAMETERS angstrom
8.4412 0.0000 0.0000
0.0000 8.4644 0.0000
0.0000 0.0000 8.4661

---

[6]
! KBaSmMnO6, relaxed, DFT PBE with a Hubbard U; values from VASP
! **ρ**: 5.3 g cm⁻³
! **Symmetry**: F-43m
! **Energy of formation from the pure elements**: -2.38 eV per atom
! **Total magnetization**: 1.000 μB per cell
! **Relative energy among the computed polymorphs**: 0.000 eV per atom
&SYSTEM
  ibrav = 0, nat = 10, ntyp = 5
/
ATOMIC_SPECIES
K 39.10 K.upf
Ba 137.33 Ba.upf
Sm 150.36 Sm.upf
Mn 54.94 Mn.upf
O 16.00 O.upf
ATOMIC_POSITIONS angstrom
K 0.0000 0.0000 0.0000
Ba 4.2245 4.2245 4.2245
Sm 2.1122 2.1122 2.1122
Mn 6.3367 6.3367 6.3367
O 6.3367 6.3367 4.4137
O 6.3367 4.4137 6.3367
O 8.2596 6.3367 6.3367
O 4.4137 6.3367 6.3367
O 6.3367 8.2596 6.3367
O 6.3367 6.3367 8.2596
CELL_PARAMETERS angstrom
0.0000 4.2245 4.2245
4.2245 0.0000 4.2245
4.2245 4.2245 0.0000

---

Q: Number 4 is which compound?
A: K4Ba2Na4Ti8MnSi16W8O58

---

Q: Look up the energy of formation from the pure elements of the first one.
A: -2.91 eV per atom